Record 1
TiPO4 | PBE | optimized geometry

Lattice parameters (Å, degrees): 10.0051 6.0275 4.9703 90.00 90.00 90.00
Last column: nearest neighbours and their distance in Å.
Space group Pnma (No. 62)
Asymmetric unit:
Ti 0.2305 0.2500 0.0181  6 O 1.96-2.16
P 0.0991 0.7500 0.0833  4 O 1.53-1.58
O 0.0508 0.2500 0.8556  1 P 1.53
O 0.1235 0.7500 0.7796  1 P 1.53
O 0.1718 0.5497 0.2265  1 P 1.58

Record 2
Ti5PO11 | PBE | optimized geometry

Lattice parameters (Å, degrees): 7.6155 13.9837 9.9247 90.00 129.68 90.00
Last column: nearest neighbours and their distance in Å.
Space group P2_1/c (No. 14)
Asymmetric unit:
Ti 0.0211 0.1556 0.1599  3 O 1.76-1.97
Ti 0.2548 0.6730 0.1894  5 O 1.94-2.04
Ti 0.2588 0.1737 0.5470  6 O 1.93-2.12
Ti 0.4430 0.0044 0.2090  4 O 1.87-2.00
Ti 0.4757 0.1687 0.9169  6 O 1.91-2.12
P 0.2400 0.6199 0.8643  3 O 1.63-1.71
O 0.0074 0.2440 0.5131  3 Ti 1.97-1.98
O 0.0080 0.6097 0.1677  3 Ti 1.96-1.98
O 0.2117 0.0726 0.1818  2 Ti 1.76-1.87
O 0.2579 0.2409 0.3743  3 Ti 1.91-2.07
O 0.2603 0.5907 0.5293  3 Ti 1.93-2.04
O 0.2635 0.7415 0.8785  1 P 1.71
O 0.3016 0.0833 0.7174  3 Ti 1.94-2.00
O 0.3075 0.5935 0.0561  1 P 1.67
O 0.4699 0.5895 0.8960  1 P 1.63
O 0.4981 0.7434 0.7466  3 Ti 1.93-2.04
O 0.4995 0.5943 0.4037  3 Ti 1.91-2.04

Record 3
TiP2O8 | PBE | optimized geometry

Lattice parameters (Å, degrees): 5.2164 6.3659 12.8030 90.00 99.17 90.00
Last column: nearest neighbours and their distance in Å.
Space group P2_1/m (No. 11)
Asymmetric unit:
Ti 0.2280 0.2500 0.3786  6 O 1.90-1.98
P 0.1995 0.7500 0.4472  4 O 1.54-1.55
P 0.3558 0.7500 0.7997  4 O 1.53-1.55
O 0.0504 0.2500 0.5036  1 P 1.54
O 0.1118 0.7500 0.7161  1 P 1.53
O 0.2098 0.5542 0.3768  1 P 1.54
O 0.3586 0.5640 0.8778  1 P 1.55
O 0.3978 0.2500 0.2516  1 P 1.53
O 0.4404 0.7500 0.5350  1 P 1.55

Record 4
TiP2O10 | PBE | optimized geometry

Lattice parameters (Å, degrees): 5.2917 6.3996 24.1827 90.00 90.71 90.00
Last column: nearest neighbours and their distance in Å.
Space group P2_1 (No. 4)
Asymmetric unit:
Ti 0.2441 0.0000 0.4366  6 O 1.90-2.04
Ti 0.2538 0.5162 0.0630  6 O 1.89-2.06
P 0.2487 0.0135 0.0280  4 O 1.53-1.55
P 0.2518 0.4995 0.4723  4 O 1.54-1.55
P 0.2521 0.8797 0.8696  3 O 1.46-1.51
P 0.2560 0.4615 0.6573  3 O 1.47-1.51
O 0.0041 0.0120 0.9919  1 P 1.55
O 0.0054 0.4920 0.6281  1 P 1.51
O 0.0125 0.0046 0.8770  1 P 1.51
O 0.0220 0.3801 0.2476  1 O 1.23
O 0.0240 0.4993 0.5118  1 P 1.55
O 0.0981 0.8951 0.1887  1 O 1.23
O 0.1963 0.9182 0.7675  1 O 1.23
O 0.2208 0.9264 0.6518  1 O 1.23
O 0.2414 0.6953 0.4352  1 P 1.54
O 0.2421 0.3042 0.4348  1 P 1.54
O 0.2539 0.6519 0.8636  1 P 1.46
O 0.2558 0.8174 0.0648  1 P 1.54
O 0.2566 0.2091 0.0643  1 P 1.53
O 0.2704 0.4134 0.7165  1 P 1.47
O 0.3172 0.8804 0.2061  1 O 1.23
O 0.3315 0.0734 0.6299  1 O 1.23
O 0.4751 0.0105 0.9879  1 P 1.55
O 0.4852 0.5027 0.6228  1 P 1.50
O 0.4907 0.0093 0.8722  1 P 1.51
O 0.4990 0.4990 0.5071  1 P 1.55

Record 5
TiP3O9 | PBE | optimized geometry

Lattice parameters (Å, degrees): 13.5248 19.6010 9.7110 90.00 127.11 90.00
Last column: nearest neighbours and their distance in Å.
Space group Cc (No. 9)
Asymmetric unit:
Ti 0.0000 0.0796 0.0000  6 O 2.03-2.07
Ti 0.0191 0.2449 0.5349  6 O 2.03-2.06
Ti 0.4978 0.0881 0.4988  6 O 2.00-2.10
P 0.1387 0.0318 0.8240  4 O 1.50-1.62
P 0.1498 0.3020 0.3501  4 O 1.50-1.60
P 0.1566 0.3638 0.8515  4 O 1.50-1.60
P 0.2371 0.4781 0.7284  4 O 1.50-1.60
P 0.2467 0.1881 0.2452  4 O 1.50-1.61
P 0.2751 0.1434 0.7919  4 O 1.50-1.61
P 0.3519 0.0281 0.6602  4 O 1.49-1.60
P 0.3683 0.3637 0.6869  4 O 1.50-1.61
P 0.3692 0.3028 0.1957  4 O 1.50-1.62
O 0.0347 0.0581 0.8245  1 P 1.50
O 0.0533 0.2889 0.3772  1 P 1.50
O 0.0535 0.3680 0.8688  1 P 1.50
O 0.1036 0.0013 0.6582  1 P 1.50
O 0.1246 0.3568 0.2253  1 P 1.50
O 0.1329 0.4819 0.0792  1 P 1.50
O 0.1414 0.3136 0.7239  1 P 1.50
O 0.1571 0.1360 0.1162  1 P 1.50
O 0.1587 0.1754 0.6391  1 P 1.50
O 0.1707 0.2305 0.2923  2 P 1.59-1.60
O 0.1810 0.4383 0.8112  2 P 1.60
O 0.2173 0.0222 0.4780  2 P 1.60
O 0.2421 0.0901 0.8846  2 P 1.61-1.62
O 0.2678 0.4212 0.6415  2 P 1.60-1.61
O 0.2747 0.2402 0.1441  2 P 1.61-1.62
O 0.2835 0.3109 0.5326  2 P 1.60
O 0.2853 0.3536 0.0376  2 P 1.59
O 0.3382 0.0996 0.7255  2 P 1.60
O 0.3521 0.4850 0.3703  1 P 1.50
O 0.3666 0.1639 0.4083  1 P 1.50
O 0.3739 0.1889 0.9320  1 P 1.50
O 0.3747 0.0283 0.2796  1 P 1.49
O 0.4001 0.3360 0.3569  1 P 1.50
O 0.4132 0.3296 0.8534  1 P 1.50
O 0.4456 0.0387 0.6259  1 P 1.51
O 0.4631 0.3940 0.6711  1 P 1.50
O 0.4762 0.2812 0.1973  1 P 1.50

Record 6
TiPO4 | PBE | optimized geometry

Lattice parameters (Å, degrees): 5.2833 8.0454 6.5907 90.00 90.00 90.00
Last column: nearest neighbours and their distance in Å.
Space group Cmcm (No. 63)
Asymmetric unit:
Ti 0.0000 0.0000 0.0000  6 O 1.95-2.16
P 0.0000 0.3458 0.2500  4 O 1.53-1.57
O 0.0000 0.2382 0.0580  1 P 1.53
O 0.2446 0.4568 0.2500  1 P 1.57

Record 7
TiP2O9 | PBE | optimized geometry

Lattice parameters (Å, degrees): 8.8339 5.1920 15.6094 90.00 106.08 90.00
Last column: nearest neighbours and their distance in Å.
Space group P2_1/c (No. 14)
Asymmetric unit:
Ti 0.2195 0.2490 0.4740  4 O 1.85-2.07
P 0.0032 0.7411 0.3812  4 O 1.50-1.57
P 0.4479 0.7337 0.5851  3 O 1.50-1.51
O 0.0799 0.0135 0.4052  1 P 1.57
O 0.0918 0.2179 0.2145  1 P 1.50
O 0.1008 0.1926 0.0542  1 P 1.56
O 0.1439 0.5455 0.4089  1 P 1.57
O 0.3239 0.7120 0.7281  1 O 1.27
O 0.3253 0.5621 0.0549  1 P 1.50
O 0.3828 0.1916 0.4033  1 P 1.51
O 0.4045 0.0435 0.0631  1 P 1.50
O 0.4555 0.7300 0.7104  1 O 1.27

Record 8
Ti3PO2 | PBE | optimized geometry

Lattice parameters (Å, degrees): 3.1724 3.1724 8.0228 90.00 90.00 120.00
Last column: nearest neighbours and their distance in Å.
Space group P-3m1 (No. 164)
Asymmetric unit:
Ti 0.0000 0.0000 0.0000  6 O 2.16
Ti 0.3333 0.6667 0.7068  3 O 2.20
P 0.0000 0.0000 0.5000  6 Ti 2.47
O 0.3333 0.6667 0.1423  6 Ti 2.16-2.20

Energy of formation for the records above, in order: -2.94; -3.23; -2.54; -1.88; -2.77; -2.96; -1.97; -2.03 eV per atom
MP2020-corrected energy for the records above, in order: -203.0; -616.8; -172.4; -370.6; -1255.7; -203.4; -347.5; -51.2 eV per cell
Spin magnetization for the records above, in order: 3.99; 0.01; 4.00; 11.83; 12.00; 4.00; 8.11; 0.00 μB per cell